Record 1
Here is a geometry-optimized CrP structure from the Materials Project. Energies are from r2SCAN.

Lattice parameters (Å, degrees): 3.0575 5.3143 5.8871 90.00 90.00 90.00
With the nearest neighbours (Å) after each atom.
Sites, in units of the cell vectors:
Cr (0.7500, 0.9911, 0.8112)  6 P 2.29-2.41
P (0.7500, 0.8170, 0.4337)  6 Cr 2.29-2.41
Cr (0.2500, 0.5089, 0.3112)  6 P 2.29-2.41
P (0.2500, 0.6830, 0.9337)  6 Cr 2.29-2.41
P (0.2500, 0.1830, 0.5663)  6 Cr 2.29-2.41
Cr (0.7500, 0.4911, 0.6888)  6 P 2.29-2.41
Cr (0.2500, 0.0089, 0.1888)  6 P 2.29-2.41
P (0.7500, 0.3170, 0.0663)  6 Cr 2.29-2.41

Computed properties:
formation energy	-0.41	eV per atom
E_tot	-99.56	eV for the cell shown
SG	Pnma (62)
crystal system	orthorhombic

Record 2
Here is a geometry-optimized Sr2Zn2As3 structure from the Materials Project. Energies are from r2SCAN.

Lattice parameters (Å, degrees): 8.4189 8.4189 11.9680 55.07 55.07 29.48
With the nearest neighbours (Å) after each atom.
Sites, in units of the cell vectors:
As (0.0750, 0.0750, 0.8748)  1 As 2.51, 1 Zn 2.65
Sr (0.6067, 0.6067, 0.0496)  7 As 3.18-3.31, 3 Zn 3.36-3.42
Zn (0.0382, 0.0382, 0.6865)  4 As 2.53-2.65
As (0.3912, 0.3912, 0.4566)  4 Zn 2.53-2.66
Zn (0.5883, 0.5883, 0.3498)  4 As 2.53-2.66
Zn (0.9618, 0.9618, 0.3135)  4 As 2.53-2.65
Sr (0.3933, 0.3933, 0.9504)  7 As 3.18-3.31, 3 Zn 3.36-3.42
Zn (0.4117, 0.4117, 0.6502)  4 As 2.53-2.66
As (0.8496, 0.8496, 0.7947)  3 Zn 2.53-2.56
Sr (0.7338, 0.7338, 0.6632)  6 As 3.09-3.15
Sr (0.2662, 0.2662, 0.3368)  6 As 3.09-3.15
As (0.1504, 0.1504, 0.2053)  3 Zn 2.53-2.56
As (0.9250, 0.9250, 0.1252)  1 As 2.51, 1 Zn 2.65
As (0.6088, 0.6088, 0.5434)  4 Zn 2.53-2.66

Computed properties:
formation energy	-0.94	eV per atom
E_tot	-197.60	eV for the cell shown
SG	C2/m (12)
crystal system	monoclinic

Record 3
Here is a geometry-optimized Sc2Fe3Si5 structure from the Materials Project. Energies are from r2SCAN.

Lattice parameters (Å, degrees): 10.0926 10.0926 5.2509 90.00 90.00 90.00
With the nearest neighbours (Å) after each atom.
Sites, in units of the cell vectors:
Si (0.0000, 0.0000, 0.2504)  4 Fe 2.32
Fe (0.1233, 0.1436, 0.5000)  6 Si 2.30-2.33
Si (0.9733, 0.3188, 0.5000)  4 Fe 2.27-2.33, 2 Si 2.44
Sc (0.7634, 0.9312, 0.0000)  9 Si 2.64-2.94
Si (0.6775, 0.1776, 0.2500)  3 Fe 2.30-2.53, 2 Si 2.44
Si (0.8188, 0.4733, 0.0000)  4 Fe 2.27-2.33, 2 Si 2.44
Sc (0.0689, 0.7634, 0.0000)  9 Si 2.64-2.94
Si (0.1812, 0.5267, 0.0000)  4 Fe 2.27-2.33, 2 Si 2.44
Sc (0.2634, 0.5689, 0.5000)  9 Si 2.64-2.94
Si (0.4733, 0.1811, 0.0000)  4 Fe 2.27-2.33, 2 Si 2.44
Si (0.0000, 0.0000, 0.7496)  4 Fe 2.32
Fe (0.1436, 0.8767, 0.5000)  6 Si 2.30-2.33
Fe (0.6233, 0.3564, 0.0000)  6 Si 2.30-2.33
Si (0.3225, 0.8224, 0.7500)  3 Fe 2.30-2.53, 2 Si 2.44
Si (0.6811, 0.9733, 0.5000)  4 Fe 2.27-2.33, 2 Si 2.44
Si (0.5267, 0.8189, 0.0000)  4 Fe 2.27-2.33, 2 Si 2.44
Fe (0.0000, 0.5000, 0.7500)  6 Si 2.27-2.53
Sc (0.5688, 0.7366, 0.5000)  9 Si 2.64-2.94
Fe (0.6436, 0.6233, 0.0000)  6 Si 2.30-2.33
Si (0.5000, 0.5000, 0.7504)  4 Fe 2.32
Fe (0.8767, 0.8564, 0.5000)  6 Si 2.30-2.33
Fe (0.0000, 0.5000, 0.2500)  6 Si 2.27-2.53
Sc (0.4312, 0.2634, 0.5000)  9 Si 2.64-2.94
Fe (0.5000, 0.0000, 0.2500)  6 Si 2.27-2.53
Fe (0.5000, 0.0000, 0.7500)  6 Si 2.27-2.53
Sc (0.2366, 0.0688, 0.0000)  9 Si 2.64-2.94
Si (0.0267, 0.6812, 0.5000)  4 Fe 2.27-2.33, 2 Si 2.44
Fe (0.3767, 0.6436, 0.0000)  6 Si 2.30-2.33
Si (0.3189, 0.0267, 0.5000)  4 Fe 2.27-2.33, 2 Si 2.44
Si (0.3225, 0.8224, 0.2500)  3 Fe 2.30-2.53, 2 Si 2.44
Sc (0.7366, 0.4311, 0.5000)  9 Si 2.64-2.94
Si (0.8224, 0.6776, 0.7500)  3 Fe 2.30-2.53, 2 Si 2.44
Sc (0.9311, 0.2366, 0.0000)  9 Si 2.64-2.94
Fe (0.3564, 0.3767, 0.0000)  6 Si 2.30-2.33
Si (0.1776, 0.3224, 0.2500)  3 Fe 2.30-2.53, 2 Si 2.44
Si (0.1776, 0.3224, 0.7500)  3 Fe 2.30-2.53, 2 Si 2.44
Si (0.8224, 0.6776, 0.2500)  3 Fe 2.30-2.53, 2 Si 2.44
Si (0.6775, 0.1776, 0.7500)  3 Fe 2.30-2.53, 2 Si 2.44
Si (0.5000, 0.5000, 0.2496)  4 Fe 2.32
Fe (0.8564, 0.1233, 0.5000)  6 Si 2.30-2.33

Computed properties:
formation energy	-0.54	eV per atom
E_tot	-461.35	eV for the cell shown
SG	P4/mnc (128)
crystal system	tetragonal

Record 4
Here is a geometry-optimized CeZn3Pd2 structure from the Materials Project. Energies are from r2SCAN.

Lattice parameters (Å, degrees): 5.3090 5.3090 4.3190 90.00 90.00 120.00
With the nearest neighbours (Å) after each atom.
Sites, in units of the cell vectors:
Zn (0.5000, 0.0000, 0.5000)  4 Pd 2.65, 4 Zn 2.65
Pd (0.6667, 0.3333, 0.0000)  6 Zn 2.65
Pd (0.3333, 0.6667, 0.0000)  6 Zn 2.65
Zn (0.0000, 0.5000, 0.5000)  4 Pd 2.65, 4 Zn 2.65
Ce (0.0000, 0.0000, 0.0000)  6 Pd 3.07, 12 Zn 3.42
Zn (0.5000, 0.5000, 0.5000)  4 Pd 2.65, 4 Zn 2.65

Computed properties:
formation energy	-0.59	eV per atom
E_tot	-107.03	eV for the cell shown
SG	P6/mmm (191)
crystal system	hexagonal

Record 5
Here is a geometry-optimized PmMg2 structure from the Materials Project. Energies are from r2SCAN.

Lattice parameters (Å, degrees): 6.1077 6.1077 6.1077 60.00 60.00 60.00
With the nearest neighbours (Å) after each atom.
Sites, in units of the cell vectors:
Mg (0.1250, 0.6250, 0.1250)  6 Mg 3.05
Mg (0.6250, 0.1250, 0.1250)  6 Mg 3.05
Pm (0.5000, 0.5000, 0.5000)  12 Mg 3.58, 4 Pm 3.74
Mg (0.1250, 0.1250, 0.6250)  6 Mg 3.05
Pm (0.7500, 0.7500, 0.7500)  12 Mg 3.58, 4 Pm 3.74
Mg (0.1250, 0.1250, 0.1250)  6 Mg 3.05

Computed properties:
formation energy	-0.12	eV per atom
E_tot	-76.47	eV for the cell shown
SG	Fd-3m (227)
crystal system	cubic

Record 6
Here is a geometry-optimized Rb2PuCl6 structure from the Materials Project. Energies are from r2SCAN.

Lattice parameters (Å, degrees): 7.3865 7.3865 11.7901 90.00 90.00 120.00
With the nearest neighbours (Å) after each atom.
Sites, in units of the cell vectors:
Rb (0.3333, 0.6667, 0.8581)  12 Cl 3.61-3.69
Cl (0.4981, 0.9962, 0.1130)  1 Pu 2.59
Pu (0.6667, 0.3333, 0.7400)  6 Cl 2.59
Rb (0.0000, 0.0000, 0.1053)  12 Cl 3.59-3.69
Cl (0.8389, 0.6777, 0.8557)  1 Pu 2.59
Cl (0.4981, 0.5019, 0.1130)  1 Pu 2.59
Rb (0.0000, 0.0000, 0.6053)  12 Cl 3.59-3.69
Cl (0.5019, 0.4981, 0.6130)  1 Pu 2.59
Pu (0.3333, 0.6667, 0.2400)  6 Cl 2.59
Cl (0.5019, 0.0038, 0.6130)  1 Pu 2.59
Rb (0.6667, 0.3333, 0.3581)  12 Cl 3.61-3.69
Cl (0.8389, 0.1611, 0.8557)  1 Pu 2.59
Cl (0.9962, 0.4981, 0.6130)  1 Pu 2.59
Cl (0.1611, 0.8389, 0.3557)  1 Pu 2.59
Cl (0.3223, 0.1611, 0.8557)  1 Pu 2.59
Cl (0.6777, 0.8389, 0.3557)  1 Pu 2.59
Cl (0.1611, 0.3223, 0.3557)  1 Pu 2.59
Cl (0.0038, 0.5019, 0.1130)  1 Pu 2.59

Computed properties:
formation energy	-2.16	eV per atom
E_tot	-341.07	eV for the cell shown
SG	P6_3mc (186)
crystal system	hexagonal

Record 7
Here is a geometry-optimized K3VO4 structure from the Materials Project. Energies are from r2SCAN.

Lattice parameters (Å, degrees): 8.2767 8.2767 8.2767 90.00 90.00 90.00
With the nearest neighbours (Å) after each atom.
Sites, in units of the cell vectors:
K (0.5119, 0.9881, 0.0119)  3 O 2.71
O (0.2904, 0.5352, 0.7455)  1 V 1.73
K (0.2158, 0.7842, 0.2842)  3 O 2.66
K (0.0119, 0.5119, 0.9881)  3 O 2.71
O (0.7096, 0.0352, 0.7545)  1 V 1.73
K (0.2842, 0.2158, 0.7842)  3 O 2.66
O (0.2455, 0.2096, 0.4648)  1 V 1.73
O (0.1448, 0.1448, 0.1448)  1 V 1.71
K (0.9643, 0.9643, 0.9643)  7 O 2.59-2.80
V (0.7638, 0.2362, 0.7362)  4 O 1.71-1.73
O (0.5352, 0.7455, 0.2904)  1 V 1.73
O (0.6448, 0.3552, 0.8552)  1 V 1.71
K (0.7842, 0.2842, 0.2158)  3 O 2.66
O (0.7455, 0.2904, 0.5352)  1 V 1.73
K (0.5357, 0.0357, 0.4643)  7 O 2.59-2.80
O (0.0352, 0.7545, 0.7096)  1 V 1.73
K (0.0357, 0.4643, 0.5357)  7 O 2.59-2.80
K (0.7158, 0.7158, 0.7158)  3 O 2.66
K (0.4881, 0.4881, 0.4881)  3 O 2.71
V (0.2638, 0.2638, 0.2638)  4 O 1.71-1.73
O (0.7545, 0.7096, 0.0352)  1 V 1.73
O (0.4648, 0.2455, 0.2096)  1 V 1.73
O (0.8552, 0.6448, 0.3552)  1 V 1.71
K (0.9881, 0.0119, 0.5119)  3 O 2.71
V (0.2362, 0.7362, 0.7638)  4 O 1.71-1.73
O (0.7904, 0.9648, 0.2545)  1 V 1.73
O (0.9648, 0.2545, 0.7904)  1 V 1.73
V (0.7362, 0.7638, 0.2362)  4 O 1.71-1.73
K (0.4643, 0.5357, 0.0357)  7 O 2.59-2.80
O (0.2545, 0.7904, 0.9648)  1 V 1.73
O (0.2096, 0.4648, 0.2455)  1 V 1.73
O (0.3552, 0.8552, 0.6448)  1 V 1.71

Computed properties:
formation energy	-2.34	eV per atom
E_tot	-299.09	eV for the cell shown
SG	P2_13 (198)
crystal system	cubic

Record 8
Here is a geometry-optimized Ag structure from the Materials Project. Energies are from r2SCAN.

Lattice parameters (Å, degrees): 2.9111 2.9111 9.4637 90.00 90.00 120.00
With the nearest neighbours (Å) after each atom.
Sites, in units of the cell vectors:
Ag (0.6667, 0.3333, 0.7500)  12 Ag 2.90-2.91
Ag (0.0000, 0.0000, 0.0000)  12 Ag 2.90-2.91
Ag (0.3333, 0.6667, 0.2500)  12 Ag 2.90-2.91
Ag (0.0000, 0.0000, 0.5000)  12 Ag 2.90-2.91

Computed properties:
formation energy	0.00	eV per atom
E_tot	-85.42	eV for the cell shown
excess energy over the best structure of this formula in the dataset	0	meV per atom
SG	P6_3/mmc (194)
crystal system	hexagonal

> Which formula does entry 6 have?

Rb2PuCl6